No. 1
Density functional theory data (GGA-PBE) for a relaxed Zn3Cu6Sn3Se4S8 crystal.

Properties
SG: Cm, No. 8
Total energy in eV for the cell shown: -97.72
Volume in Å³/cell: 516.1

a = 5.557 Å, b = 5.557 Å, c = 17.169 Å
α = 80.64°, β = 80.64°, γ = 89.55°
Fractional positions:
1 Zn 0.008 0.008 0.998
2 Zn 0.671 0.671 0.659
3 Zn 0.343 0.343 0.330
4 Cu 0.579 0.078 0.842
5 Cu 0.262 0.736 0.502
6 Cu 0.928 0.401 0.170
7 Cu 0.078 0.579 0.842
8 Cu 0.736 0.262 0.502
9 Cu 0.401 0.928 0.170
10 Sn 0.495 0.495 0.000
11 Sn 0.169 0.169 0.662
12 Sn 0.828 0.828 0.332
13 Se 0.382 0.382 0.755
14 Se 0.048 0.048 0.422
15 Se 0.714 0.714 0.090
16 Se 0.861 0.861 0.755
17 S 0.531 0.531 0.420
18 S 0.197 0.197 0.088
19 S 0.287 0.800 0.912
20 S 0.957 0.469 0.574
21 S 0.622 0.135 0.243
22 S 0.800 0.287 0.912
23 S 0.469 0.957 0.574
24 S 0.135 0.622 0.243



No. 2
Density functional theory data (GGA-PBE) for a relaxed Gd5AgS8 crystal.

Properties
SG: I-4, No. 82
Total energy in eV for the cell shown: -131.99
Volume in Å³/cell: 293.4

a = 7.251 Å, b = 7.251 Å, c = 7.251 Å
α = 109.53°, β = 109.53°, γ = 109.35°
Fractional positions:
1 Gd 0.633 0.748 0.619
2 Gd 0.986 0.367 0.114
3 Gd 0.129 0.014 0.381
4 Gd 0.252 0.871 0.886
5 Gd 0.500 0.500 0.000
6 Ag 0.750 0.250 0.500
7 S 0.378 0.269 0.250
8 S 0.361 0.751 0.242
9 S 0.731 0.980 0.109
10 S 0.871 0.622 0.891
11 S 0.510 0.119 0.758
12 S 0.881 0.639 0.390
13 S 0.249 0.490 0.610
14 S 0.020 0.129 0.750



No. 3
Density functional theory data (GGA-PBE) for a relaxed RbF3 crystal.

Properties
SG: Pm-3m, No. 221
Total energy in eV for the cell shown: -11.21
Volume in Å³/cell: 71.6

a = 4.153 Å, b = 4.153 Å, c = 4.153 Å
α = 90.00°, β = 90.00°, γ = 90.00°
Fractional positions:
1 Rb 0.000 0.000 0.000
2 F 0.000 0.500 0.500
3 F 0.500 0.000 0.500
4 F 0.500 0.500 0.000



No. 4
Density functional theory data (GGA-PBE) for a relaxed LaPr3Ga4O12 crystal.

Properties
SG: Pm, No. 6
Total energy in eV for the cell shown: -143.54
Volume in Å³/cell: 242.5

a = 7.860 Å, b = 5.539 Å, c = 5.570 Å
α = 89.98°, β = 90.00°, γ = 90.00°
Fractional positions:
1 La 0.500 0.492 0.531
2 Pr 0.500 0.009 0.037
3 Pr 0.000 0.510 0.462
4 Pr 0.000 0.991 0.963
5 Ga 0.249 0.000 0.500
6 Ga 0.750 0.500 0.999
7 Ga 0.751 0.000 0.500
8 Ga 0.250 0.500 0.999
9 O 0.500 0.579 0.986
10 O 0.500 0.925 0.483
11 O 0.000 0.421 0.017
12 O 0.000 0.080 0.517
13 O 0.291 0.214 0.787
14 O 0.709 0.283 0.284
15 O 0.793 0.784 0.216
16 O 0.206 0.716 0.715
17 O 0.207 0.784 0.216
18 O 0.794 0.716 0.715
19 O 0.709 0.214 0.787
20 O 0.291 0.283 0.284